[1]
The following is a DFT calculation (PBE-GGA) of a relaxed structure of Na3Hf3MgP5SO24.

Calculated values
Energy relative to the elements (eV/atom): -3.024

Cell lengths 8.848, 8.857, 22.905 Å; angles 89.92, 89.95, 60.05 degrees
Space group P1 (No. 1)
Symmetry-distinct sites (fractional):
Na1 0.000 0.000 0.000
Na2 0.002 0.992 0.505
Na3 0.034 0.651 0.915
Na4 0.334 0.327 0.334
Na5 0.337 0.309 0.831
Na6 0.365 0.986 0.250
Na7 0.659 0.644 0.675
Na8 0.672 0.629 0.172
Na9 0.980 0.661 0.594
Hf1 0.000 0.976 0.360
Hf2 0.000 0.977 0.655
Hf3 0.337 0.307 0.488
Hf4 0.346 0.298 0.988
Hf5 0.660 0.643 0.027
Hf6 0.663 0.644 0.526
Hf7 0.672 0.644 0.821
Hf8 0.673 0.639 0.320
Hf9 0.998 0.983 0.154
Mg1 0.003 0.978 0.860
Mg2 0.330 0.315 0.691
Mg3 0.344 0.312 0.194
P1 0.004 0.270 0.257
P2 0.008 0.678 0.760
P3 0.046 0.309 0.592
P4 0.291 0.682 0.257
P5 0.336 0.018 0.094
P6 0.337 0.598 0.593
P7 0.372 0.646 0.923
P8 0.376 0.937 0.422
P9 0.622 0.022 0.593
P10 0.624 0.310 0.093
P11 0.668 0.351 0.424
P12 0.671 0.934 0.923
P13 0.708 0.979 0.257
P14 0.960 0.348 0.924
P15 0.961 0.643 0.425
S1 0.046 0.599 0.091
S2 0.292 0.981 0.759
S3 0.707 0.267 0.759
O1 0.020 0.770 0.815
O2 0.022 0.147 0.598
O3 0.025 0.154 0.311
O4 0.026 0.776 0.095
O5 0.122 0.349 0.644
O6 0.127 0.493 0.142
O7 0.137 0.346 0.931
O8 0.143 0.479 0.430
O9 0.145 0.521 0.035
O10 0.155 0.282 0.536
O11 0.166 0.497 0.753
O12 0.167 0.783 0.598
O13 0.168 0.283 0.251
O14 0.173 0.995 0.095
O15 0.182 0.777 0.312
O16 0.189 0.998 0.810
O17 0.190 0.805 0.919
O18 0.194 0.955 0.418
O19 0.204 0.804 0.203
O20 0.207 0.958 0.705
O21 0.303 0.516 0.538
O22 0.311 0.504 0.252
O23 0.313 0.133 0.040
O24 0.318 0.130 0.752
O25 0.353 0.481 0.930
O26 0.358 0.096 0.150
O27 0.359 0.117 0.429
O28 0.364 0.491 0.647
O29 0.465 0.664 0.977
O30 0.467 0.815 0.761
O31 0.469 0.822 0.475
O32 0.470 0.678 0.263
O33 0.483 0.851 0.366
O34 0.489 0.618 0.869
O35 0.492 0.629 0.583
O36 0.499 0.835 0.084
O37 0.504 0.114 0.929
O38 0.504 0.334 0.430
O39 0.515 0.102 0.647
O40 0.516 0.339 0.146
O41 0.524 0.136 0.254
O42 0.535 0.286 0.752
O43 0.537 0.291 0.036
O44 0.541 0.129 0.537
O45 0.643 0.846 0.869
O46 0.645 0.462 0.369
O47 0.654 0.468 0.084
O48 0.657 0.831 0.584
O49 0.691 0.440 0.478
O50 0.691 0.445 0.762
O51 0.691 0.812 0.263
O52 0.693 0.818 0.977
O53 0.796 0.166 0.811
O54 0.802 0.994 0.311
O55 0.808 0.144 0.095
O56 0.813 0.994 0.598
O57 0.817 0.185 0.705
O58 0.822 0.953 0.203
O59 0.832 0.170 0.418
O60 0.835 0.667 0.762
O61 0.835 0.949 0.918
O62 0.837 0.450 0.263
O63 0.848 0.443 0.978
O64 0.855 0.665 0.481
O65 0.861 0.473 0.582
O66 0.867 0.622 0.372
O67 0.867 0.623 0.084
O68 0.873 0.471 0.870
O69 0.976 0.182 0.202
O70 0.979 0.807 0.419
O71 0.982 0.169 0.917
O72 0.984 0.794 0.704

=====

[2]
The following is a DFT calculation (PBE-GGA) of a relaxed structure of NaHfMgPS2O12.

Calculated values
Energy relative to the elements (eV/atom): -2.656

Cell lengths 15.145, 8.755, 23.051 Å; angles 90.00, 90.05, 90.00 degrees
Space group Cc (No. 9)
Symmetry-distinct sites (fractional):
Na1 0.000 0.000 0.000
Na2 0.165 0.493 0.333
Na3 0.325 0.009 0.167
Hf1 0.161 0.497 0.985
Hf2 0.324 0.013 0.318
Hf3 0.494 0.500 0.152
Mg1 0.165 0.489 0.190
Mg2 0.320 0.003 0.023
Mg3 0.494 0.499 0.856
P1 0.163 0.209 0.089
P2 0.179 0.143 0.423
P3 0.348 0.362 0.256
S1 0.015 0.359 0.589
S2 0.138 0.151 0.755
S3 0.305 0.351 0.589
S4 0.330 0.289 0.922
S5 0.471 0.148 0.423
S6 0.495 0.208 0.756
O1 0.007 0.187 0.594
O2 0.008 0.197 0.307
O3 0.057 0.420 0.641
O4 0.061 0.427 0.927
O5 0.071 0.381 0.536
O6 0.071 0.393 0.247
O7 0.077 0.107 0.095
O8 0.087 0.074 0.413
O9 0.087 0.119 0.807
O10 0.100 0.076 0.702
O11 0.147 0.310 0.034
O12 0.149 0.314 0.746
O13 0.172 0.322 0.429
O14 0.173 0.308 0.142
O15 0.224 0.077 0.475
O16 0.229 0.078 0.761
O17 0.238 0.117 0.367
O18 0.244 0.105 0.081
O19 0.248 0.387 0.927
O20 0.252 0.379 0.640
O21 0.256 0.428 0.248
O22 0.265 0.423 0.536
O23 0.314 0.195 0.869
O24 0.319 0.187 0.581
O25 0.341 0.180 0.261
O26 0.342 0.196 0.973
O27 0.393 0.424 0.310
O28 0.394 0.427 0.594
O29 0.406 0.391 0.914
O30 0.407 0.386 0.201
O31 0.413 0.114 0.761
O32 0.419 0.115 0.474
O33 0.427 0.075 0.080
O34 0.432 0.075 0.369
O35 0.481 0.304 0.702
O36 0.483 0.312 0.414

=====

[3]
The following is a DFT calculation (PBE-GGA) of a relaxed structure of Na3Hf2Mg2P3S3O24.

Calculated values
Energy relative to the elements (eV/atom): -2.755

Cell lengths 8.801, 8.822, 22.862 Å; angles 89.91, 89.94, 60.11 degrees
Space group P1 (No. 1)
Symmetry-distinct sites (fractional):
Na1 0.000 0.000 0.000
Na2 0.002 0.006 0.500
Na3 0.311 0.666 0.583
Na4 0.328 0.337 0.164
Na5 0.339 0.325 0.665
Na6 0.661 0.677 0.834
Na7 0.666 0.678 0.334
Na8 0.701 0.336 0.418
Na9 0.967 0.336 0.918
Hf1 0.001 0.009 0.149
Hf2 0.330 0.336 0.311
Hf3 0.337 0.336 0.812
Hf4 0.658 0.673 0.688
Hf5 0.676 0.663 0.188
Hf6 0.995 0.015 0.650
Mg1 0.000 0.997 0.848
Mg2 0.005 0.997 0.348
Mg3 0.328 0.338 0.021
Mg4 0.340 0.322 0.521
Mg5 0.662 0.675 0.486
Mg6 0.666 0.670 0.985
P1 0.286 0.717 0.752
P2 0.291 0.999 0.253
P3 0.377 0.964 0.582
P4 0.665 0.379 0.581
P5 0.712 0.292 0.253
P6 0.714 0.000 0.753
P7 0.962 0.379 0.081
P8 0.998 0.295 0.754
P9 0.999 0.718 0.252
S1 0.042 0.336 0.419
S2 0.042 0.631 0.919
S3 0.330 0.631 0.419
S4 0.335 0.043 0.919
S5 0.377 0.667 0.082
S6 0.625 0.336 0.919
S7 0.626 0.042 0.418
S8 0.664 0.962 0.082
S9 0.958 0.668 0.582
O1 0.019 0.181 0.412
O2 0.024 0.805 0.911
O3 0.030 0.182 0.698
O4 0.030 0.797 0.196
O5 0.126 0.515 0.866
O6 0.127 0.361 0.365
O7 0.136 0.515 0.577
O8 0.144 0.358 0.078
O9 0.151 0.312 0.470
O10 0.151 0.546 0.970
O11 0.162 0.530 0.258
O12 0.164 0.314 0.759
O13 0.173 0.031 0.911
O14 0.175 0.805 0.411
O15 0.178 0.033 0.196
O16 0.181 0.792 0.694
O17 0.195 0.972 0.592
O18 0.199 0.827 0.091
O19 0.209 0.826 0.806
O20 0.212 0.971 0.307
O21 0.305 0.156 0.970
O22 0.306 0.549 0.472
O23 0.311 0.165 0.258
O24 0.311 0.530 0.758
O25 0.353 0.147 0.578
O26 0.359 0.511 0.077
O27 0.360 0.128 0.865
O28 0.361 0.514 0.366
O29 0.454 0.700 0.031
O30 0.455 0.844 0.530
O31 0.474 0.690 0.744
O32 0.476 0.841 0.241
O33 0.483 0.646 0.136
O34 0.489 0.874 0.638
O35 0.493 0.868 0.924
O36 0.495 0.640 0.422
O37 0.496 0.369 0.577
O38 0.511 0.138 0.077
O39 0.515 0.129 0.365
O40 0.515 0.361 0.865
O41 0.525 0.314 0.259
O42 0.527 0.165 0.758
O43 0.541 0.311 0.970
O44 0.544 0.156 0.469
O45 0.639 0.495 0.636
O46 0.639 0.880 0.136
O47 0.644 0.868 0.424
O48 0.645 0.494 0.923
O49 0.686 0.477 0.243
O50 0.689 0.840 0.743
O51 0.694 0.853 0.031
O52 0.700 0.455 0.526
O53 0.793 0.032 0.696
O54 0.794 0.180 0.198
O55 0.800 0.031 0.411
O56 0.803 0.181 0.912
O57 0.817 0.218 0.309
O58 0.821 0.972 0.807
O59 0.826 0.977 0.091
O60 0.829 0.195 0.591
O61 0.838 0.692 0.243
O62 0.839 0.479 0.743
O63 0.849 0.457 0.026
O64 0.850 0.699 0.531
O65 0.864 0.495 0.423
O66 0.868 0.493 0.136
O67 0.868 0.642 0.923
O68 0.878 0.643 0.636
O69 0.968 0.824 0.306
O70 0.969 0.218 0.809
O71 0.977 0.195 0.091
O72 0.981 0.826 0.590

=====

[4]
The following is a DFT calculation (PBE-GGA) of a relaxed structure of Na5HfMg3P3S3O24.

Calculated values
Energy relative to the elements (eV/atom): -2.645

Cell lengths 8.890, 8.898, 22.390 Å; angles 89.94, 89.86, 60.14 degrees
Space group P1 (No. 1)
Symmetry-distinct sites (fractional):
Na1 0.000 0.000 0.000
Na2 0.000 0.986 0.490
Na3 0.322 0.358 0.650
Na4 0.325 0.332 0.156
Na5 0.333 0.975 0.915
Na6 0.356 0.020 0.233
Na7 0.623 0.020 0.736
Na8 0.631 0.371 0.240
Na9 0.655 0.316 0.567
Na10 0.656 0.674 0.827
Na11 0.660 0.683 0.327
Na12 0.677 0.359 0.910
Na13 0.955 0.359 0.405
Na14 0.985 0.643 0.242
Na15 0.987 0.379 0.739
Hf1 0.321 0.344 0.009
Hf2 0.976 0.014 0.343
Hf3 0.987 0.013 0.843
Mg1 0.321 0.354 0.502
Mg2 0.324 0.347 0.309
Mg3 0.329 0.352 0.807
Mg4 0.652 0.674 0.668
Mg5 0.654 0.685 0.469
Mg6 0.656 0.687 0.974
Mg7 0.658 0.686 0.169
Mg8 0.991 0.010 0.635
Mg9 0.991 0.022 0.136
P1 0.028 0.354 0.901
P2 0.029 0.637 0.405
P3 0.327 0.637 0.905
P4 0.359 0.970 0.072
P5 0.613 0.050 0.903
P6 0.613 0.354 0.406
P7 0.692 0.310 0.736
P8 0.694 0.014 0.235
P9 0.992 0.307 0.238
S1 0.282 0.720 0.237
S2 0.286 0.011 0.737
S3 0.327 0.051 0.405
S4 0.362 0.682 0.572
S5 0.655 0.974 0.573
S6 0.659 0.386 0.072
S7 0.948 0.684 0.072
S8 0.956 0.384 0.573
S9 0.993 0.717 0.736
O1 0.013 0.821 0.399
O2 0.016 0.180 0.898
O3 0.016 0.802 0.684
O4 0.025 0.186 0.185
O5 0.105 0.532 0.347
O6 0.108 0.372 0.844
O7 0.127 0.523 0.066
O8 0.131 0.362 0.567
O9 0.141 0.541 0.743
O10 0.141 0.552 0.460
O11 0.151 0.317 0.955
O12 0.153 0.331 0.244
O13 0.164 0.037 0.399
O14 0.164 0.824 0.898
O15 0.172 0.801 0.185
O16 0.173 0.035 0.686
O17 0.175 0.995 0.076
O18 0.186 0.836 0.579
O19 0.201 0.831 0.291
O20 0.205 0.987 0.793
O21 0.293 0.165 0.457
O22 0.296 0.553 0.960
O23 0.298 0.172 0.742
O24 0.302 0.545 0.244
O25 0.341 0.158 0.065
O26 0.348 0.127 0.349
O27 0.348 0.520 0.567
O28 0.356 0.527 0.850
O29 0.445 0.704 0.519
O30 0.445 0.870 0.014
O31 0.458 0.701 0.232
O32 0.462 0.860 0.733
O33 0.466 0.893 0.129
O34 0.469 0.654 0.626
O35 0.477 0.877 0.412
O36 0.486 0.662 0.912
O37 0.497 0.371 0.066
O38 0.500 0.152 0.569
O39 0.508 0.129 0.846
O40 0.513 0.177 0.244
O41 0.514 0.369 0.349
O42 0.515 0.321 0.743
O43 0.527 0.176 0.956
O44 0.539 0.319 0.463
O45 0.635 0.489 0.126
O46 0.635 0.871 0.912
O47 0.636 0.895 0.630
O48 0.646 0.508 0.411
O49 0.674 0.866 0.522
O50 0.677 0.468 0.017
O51 0.677 0.849 0.233
O52 0.686 0.487 0.733
O53 0.783 0.193 0.682
O54 0.784 0.043 0.182
O55 0.795 0.041 0.898
O56 0.805 0.187 0.401
O57 0.810 0.210 0.076
O58 0.812 0.216 0.793
O59 0.812 0.984 0.292
O60 0.812 0.996 0.577
O61 0.824 0.487 0.233
O62 0.830 0.707 0.733
O63 0.843 0.468 0.520
O64 0.843 0.502 0.911
O65 0.846 0.660 0.412
O66 0.846 0.699 0.019
O67 0.875 0.487 0.628
O68 0.877 0.653 0.128
O69 0.965 0.221 0.296
O70 0.966 0.210 0.578
O71 0.968 0.828 0.791
O72 0.970 0.836 0.077

=====

Number 1: theoretical density 3.84 g/cm³. Number 2: theoretical density 3.34 g/cm³. Number 3: theoretical density 3.39 g/cm³. Number 4: theoretical density 3.05 g/cm³.